No. 1
This record from the Materials Project database describes crystalline LiNbWO6 at its relaxed geometry. The functional is PBE+U.

```
data_LiNbWO6
_cell_length_a 5.2819
_cell_length_b 5.2819
_cell_length_c 13.7587
_cell_angle_alpha 90.00
_cell_angle_beta 90.00
_cell_angle_gamma 120.00
_symmetry_space_group_name_H-M 'R 3'
_symmetry_Int_Tables_number 146
_symmetry_space_group_name_Hall 'R 3'
loop_
_atom_site_label
_atom_site_fract_x
_atom_site_fract_y
_atom_site_fract_z
Li1 0.0000 0.0000 0.0000
Nb1 0.0000 0.0000 0.2689
W1 0.0000 0.0000 0.7705
O1 0.0118 0.4212 0.5321
O2 0.0532 0.7131 0.3662
```

Values from the calculation:
Corrected total energy (MP2020 scheme) in hartree per atom: -0.318
Crystal system: trigonal
Total magnetization in μB per formula unit: 0.0
ρ in g cm⁻³: 5.69
DFT formation energy in eV/atom: -2.571



No. 2
This record from the Materials Project database describes crystalline Cr2CuO4 at its relaxed geometry. The functional is PBE+U.

```
data_Cr2CuO4
_cell_length_a 6.027
_cell_length_b 6.094
_cell_length_c 8.166
_cell_angle_alpha 90.00
_cell_angle_beta 90.00
_cell_angle_gamma 90.00
_symmetry_space_group_name_H-M 'I m m a'
_symmetry_Int_Tables_number 74
_symmetry_space_group_name_Hall '-I 2b 2'
loop_
_atom_site_label
_atom_site_fract_x
_atom_site_fract_y
_atom_site_fract_z
Cr1 0.000 0.000 0.000
Cr2 0.250 0.250 0.250
Cu1 0.000 0.250 0.628
O1 0.000 0.031 0.248
O2 0.221 0.250 0.005
```

Values from the calculation:
Corrected total energy (MP2020 scheme) in hartree per atom: -0.298
Crystal system: orthorhombic
Total magnetization in μB per formula unit: 5.0
ρ in g cm⁻³: 5.13
DFT formation energy in eV/atom: -1.935



The highest ρ belongs to which entry?
LiNbWO6



What is the formula in the second record?
Cr2CuO4



Which value of total magnetization does entry 1 give?
0.0 μB per formula unit



Among the records above, which one has the highest DFT formation energy?
Cr2CuO4